Record 1
Entry from the Materials Project: a relaxed V2NiSb crystal (PBE).

Its density is 7.9 g cm⁻³. As for the formation energy: 0.13 eV per formula unit.

The structure belongs to space group F-43m (No. 216); the cell edges are 6.183, 6.183 and 6.183 Å and the angles 90.00°, 90.00° and 90.00°. Symmetry generates all atoms from V at (0.000, 0.000, 0.000), V at (0.250, 0.250, 0.250), Ni at (0.250, 0.250, 0.750) and Sb at (0.000, 0.000, 0.500).

---

Record 2
Entry from the Materials Project: a relaxed V2NiSb2 crystal (PBE).

Its density is 7.7 g cm⁻³. As for the formation energy: -0.72 eV per formula unit.

The structure belongs to space group P-6m2 (No. 187); the cell edges are 4.3004, 4.3004 and 5.4676 Å and the angles 90.00°, 90.00° and 120.00°. Symmetry generates all atoms from V at (0.0000, 0.0000, 0.2386), Ni at (0.6667, 0.3333, 0.5000), Sb at (0.3333, 0.6667, 0.5000) and Sb at (0.6667, 0.3333, 0.0000).

---

Record 3
Entry from the Materials Project: a relaxed VNiSb crystal (PBE).

Its density is 7.5 g cm⁻³. As for the formation energy: -0.54 eV per formula unit.

The structure belongs to space group F-43m (No. 216); the cell edges are 5.908, 5.908 and 5.908 Å and the angles 90.00°, 90.00° and 90.00°. Symmetry generates all atoms from V at (0.000, 0.000, 0.000), Ni at (0.250, 0.250, 0.250) and Sb at (0.000, 0.000, 0.500).

---

Record 4
Entry from the Materials Project: a relaxed ZnNi3Sb2 crystal (PBE).

Its density is 8.5 g cm⁻³. As for the formation energy: -0.67 eV per formula unit.

The structure belongs to space group P-3m1 (No. 164); the cell edges are 4.1489, 4.1489 and 6.3554 Å and the angles 90.00°, 90.00° and 120.00°. Symmetry generates all atoms from Zn at (0.0000, 0.0000, 0.0000), Ni at (0.0000, 0.0000, 0.5000), Ni at (0.3333, 0.6667, 0.8917) and Sb at (0.3333, 0.6667, 0.3021).

---

Record 5
Entry from the Materials Project: a relaxed ZrNi2Sb crystal (PBE).

Its density is 8.5 g cm⁻³. As for the formation energy: -2.42 eV per formula unit.

The structure belongs to space group P6_3/mmc (No. 194); the cell edges are 4.2352, 4.2352 and 8.3068 Å and the angles 90.00°, 90.00° and 120.00°. Symmetry generates all atoms from Zr at (0.3333, 0.6667, 0.2500), Ni at (0.3333, 0.6667, 0.5958) and Sb at (0.0000, 0.0000, 0.0000).

---

Record 6
Entry from the Materials Project: a relaxed Zr3NiSb7 crystal (PBE).

Its density is 7.7 g cm⁻³. As for the formation energy: -6.92 eV per formula unit.

The structure belongs to space group Pnma (No. 62); the cell edges are 17.674, 3.965 and 14.509 Å and the angles 90.00°, 90.00° and 90.00°. Symmetry generates all atoms from Zr at (0.108, 0.250, 0.090), Zr at (0.130, 0.250, 0.529), Zr at (0.154, 0.250, 0.809), Ni at (0.063, 0.250, 0.311), Sb at (0.022, 0.750, 0.202), Sb at (0.037, 0.750, 0.423), Sb at (0.071, 0.750, 0.940), Sb at (0.091, 0.750, 0.675), Sb at (0.210, 0.250, 0.315), Sb at (0.228, 0.750, 0.146) and Sb at (0.248, 0.750, 0.479).

---

Record 7
Entry from the Materials Project: a relaxed ZrNiSb crystal (PBE).

Its density is 8.3 g cm⁻³. As for the formation energy: -2.10 eV per formula unit.

The structure belongs to space group Pnma (No. 62); the cell edges are 6.777, 4.194 and 7.647 Å and the angles 90.00°, 90.00° and 90.00°. Symmetry generates all atoms from Zr at (0.002, 0.250, 0.195), Ni at (0.179, 0.250, 0.586) and Sb at (0.210, 0.750, 0.406).

---

Record 8
Entry from the Materials Project: a relaxed Zr5NiSb9 crystal (PBE).

Its density is 7.6 g cm⁻³. As for the formation energy: -10.11 eV per formula unit.

The structure belongs to space group P4/n (No. 85, origin choice 2); the cell edges are 8.895, 8.895 and 8.854 Å and the angles 90.00°, 90.00° and 90.00°. Symmetry generates all atoms from Zr at (0.046, 0.853, 0.234), Zr at (0.250, 0.250, 0.244), Ni at (0.250, 0.750, 0.500), Sb at (0.023, 0.334, 0.499), Sb at (0.052, 0.848, 0.885) and Sb at (0.250, 0.250, 0.893).

---

Record 9
Entry from the Materials Project: a relaxed ScNi5 crystal (PBE).

Its density is 7.3 g cm⁻³. As for the formation energy: -1.70 eV per formula unit.

The structure belongs to space group P6/mmm (No. 191); the cell edges are 4.7278, 4.7278 and 3.9577 Å and the angles 90.00°, 90.00° and 120.00°. Symmetry generates all atoms from Sc at (0.0000, 0.0000, 0.0000), Ni at (0.0000, 0.5000, 0.5000) and Ni at (0.3333, 0.6667, 0.0000).

---

Record 10
Entry from the Materials Project: a relaxed Sc2Ni7 crystal (PBE).

Its density is 7.1 g cm⁻³. As for the formation energy: -3.50 eV per formula unit.

The structure belongs to space group P6_3/mmc (No. 194); the cell edges are 4.7707, 4.7707 and 23.6607 Å and the angles 90.00°, 90.00° and 120.00°. Symmetry generates all atoms from Sc at (0.3333, 0.6667, 0.0290), Sc at (0.3333, 0.6667, 0.1742), Ni at (0.0000, 0.0000, 0.0000), Ni at (0.0000, 0.0000, 0.1664), Ni at (0.1666, 0.3332, 0.7500), Ni at (0.1679, 0.3357, 0.5833) and Ni at (0.3333, 0.6667, 0.6666).

---

Record 11
Entry from the Materials Project: a relaxed ScNi3 crystal (PBE).

Its density is 7.1 g cm⁻³. As for the formation energy: -1.56 eV per formula unit.

The structure belongs to space group P6_3/mmc (No. 194); the cell edges are 5.3017, 5.3017 and 4.2216 Å and the angles 90.00°, 90.00° and 120.00°. Symmetry generates all atoms from Sc at (0.3333, 0.6667, 0.2500) and Ni at (0.1576, 0.3153, 0.7500).

---

Record 12
Entry from the Materials Project: a relaxed Sc4Ni crystal (PBE).

Its density is 3.3 g cm⁻³. As for the formation energy: 1.24 eV per formula unit.

The structure belongs to space group Fd-3m (No. 227, origin choice 2); the cell edges are 9.855, 9.855 and 9.855 Å and the angles 90.00°, 90.00° and 90.00°. Symmetry generates all atoms from Sc at (0.014, 0.014, 0.236) and Ni at (0.125, 0.125, 0.625).

---

- Which formula does entry 9 have?
  ScNi5

---

Repeat the fourth record exactly.
Entry from the Materials Project: a relaxed ZnNi3Sb2 crystal (PBE).

Its density is 8.5 g cm⁻³. As for the formation energy: -0.67 eV per formula unit.

The structure belongs to space group P-3m1 (No. 164); the cell edges are 4.1489, 4.1489 and 6.3554 Å and the angles 90.00°, 90.00° and 120.00°. Symmetry generates all atoms from Zn at (0.0000, 0.0000, 0.0000), Ni at (0.0000, 0.0000, 0.5000), Ni at (0.3333, 0.6667, 0.8917) and Sb at (0.3333, 0.6667, 0.3021).